Record 1
A relaxed structure of Sr3GaSb3, computed with meta-GGA r2SCAN.

a = 14.602 Å, b = 11.813 Å, c = 13.563 Å
α = 55.03°, β = 90.00°, γ = 90.00°
Atoms (fractional coordinates):
Sb (0.407, 0.608, 0.296)
Sb (0.933, 0.350, 0.726)
Sb (0.242, 0.891, 0.399)
Sb (0.093, 0.608, 0.796)
Sb (0.258, 0.891, 0.899)
Sb (0.237, 0.366, 0.680)
Sb (0.409, 0.115, 0.073)
Sb (0.758, 0.109, 0.601)
Sb (0.433, 0.650, 0.774)
Sb (0.591, 0.885, 0.927)
Sb (0.400, 0.155, 0.550)
Sb (0.737, 0.634, 0.820)
Sb (0.567, 0.350, 0.226)
Sb (0.763, 0.634, 0.320)
Sb (0.900, 0.845, 0.950)
Sb (0.600, 0.845, 0.450)
Sb (0.091, 0.115, 0.573)
Sb (0.067, 0.650, 0.274)
Sb (0.742, 0.109, 0.101)
Sb (0.263, 0.366, 0.180)
Sb (0.909, 0.885, 0.427)
Sb (0.593, 0.392, 0.704)
Sb (0.907, 0.392, 0.204)
Sb (0.100, 0.155, 0.050)
Sr (0.217, 0.404, 0.409)
Sr (0.576, 0.351, 0.976)
Sr (0.095, 0.619, 0.038)
Sr (0.250, 0.864, 0.158)
Sr (0.783, 0.596, 0.591)
Sr (0.405, 0.619, 0.538)
Sr (0.071, 0.139, 0.318)
Sr (0.424, 0.649, 0.024)
Sr (0.929, 0.861, 0.682)
Sr (0.905, 0.381, 0.962)
Sr (0.567, 0.921, 0.665)
Sr (0.717, 0.596, 0.091)
Sr (0.750, 0.136, 0.842)
Sr (0.750, 0.136, 0.342)
Sr (0.283, 0.404, 0.909)
Sr (0.067, 0.079, 0.835)
Sr (0.571, 0.861, 0.182)
Sr (0.933, 0.921, 0.165)
Sr (0.433, 0.079, 0.335)
Sr (0.429, 0.139, 0.818)
Sr (0.595, 0.381, 0.462)
Sr (0.924, 0.351, 0.476)
Sr (0.076, 0.649, 0.524)
Sr (0.250, 0.864, 0.658)
Ga (0.091, 0.372, 0.811)
Ga (0.409, 0.372, 0.311)
Ga (0.255, 0.129, 0.178)
Ga (0.909, 0.628, 0.189)
Ga (0.745, 0.871, 0.822)
Ga (0.245, 0.129, 0.678)
Ga (0.591, 0.628, 0.689)
Ga (0.755, 0.871, 0.322)

The energy of formation from the pure elements comes out at -1.04 eV/atom. As for the magnetic moment: 0.00 μB/cell. The space group is P2_1/c (14). The calculation puts the volume at 34.237 Å³/atom.

Record 2
A relaxed structure of Zr10Ga3Sb3, computed with meta-GGA r2SCAN.

a = 5.717 Å, b = 8.317 Å, c = 8.317 Å
α = 60.00°, β = 90.00°, γ = 90.00°
Atoms (fractional coordinates):
Zr (0.250, 0.247, 0.000)
Zr (0.992, 0.333, 0.333)
Zr (0.250, 0.753, 0.247)
Zr (0.508, 0.333, 0.333)
Zr (0.750, 0.748, 0.000)
Zr (0.750, 0.000, 0.252)
Zr (0.508, 0.667, 0.667)
Zr (0.250, 0.000, 0.753)
Zr (0.992, 0.667, 0.667)
Zr (0.750, 0.252, 0.748)
Sb (0.250, 0.605, 0.000)
Sb (0.250, 0.000, 0.395)
Sb (0.250, 0.395, 0.605)
Ga (0.750, 0.000, 0.613)
Ga (0.750, 0.613, 0.387)
Ga (0.750, 0.387, 0.000)

The energy of formation from the pure elements comes out at -0.73 eV/atom. As for the magnetic moment: 0.00 μB/cell. The space group is P-62m (189). The calculation puts the volume at 21.406 Å³/atom.

Record 3
A relaxed structure of Sc11Ga10, computed with meta-GGA r2SCAN.

a = 10.621 Å, b = 10.621 Å, c = 10.621 Å
α = 121.39°, β = 121.39°, γ = 87.61°
Atoms (fractional coordinates):
Sc (0.678, 0.678, 0.356)
Sc (0.932, 0.686, 0.246)
Sc (0.322, 0.322, 0.644)
Sc (0.895, 0.568, 0.673)
Sc (0.314, 0.561, 0.246)
Sc (0.105, 0.432, 0.327)
Sc (0.223, 0.895, 0.327)
Sc (0.432, 0.105, 0.327)
Sc (0.777, 0.105, 0.673)
Sc (0.068, 0.314, 0.754)
Sc (0.322, 0.678, 0.000)
Sc (0.439, 0.686, 0.754)
Sc (0.833, 0.833, 0.000)
Sc (0.678, 0.322, 0.000)
Sc (0.568, 0.895, 0.673)
Sc (0.686, 0.439, 0.754)
Sc (0.895, 0.223, 0.327)
Sc (0.105, 0.777, 0.673)
Sc (0.167, 0.167, 0.000)
Sc (0.686, 0.932, 0.246)
Sc (0.561, 0.314, 0.246)
Sc (0.314, 0.068, 0.754)
Ga (0.617, 0.030, 0.000)
Ga (0.970, 0.970, 0.587)
Ga (0.397, 0.397, 0.000)
Ga (0.500, 0.132, 0.632)
Ga (0.124, 0.124, 0.249)
Ga (0.383, 0.970, 0.000)
Ga (0.603, 0.603, 0.000)
Ga (0.868, 0.500, 0.368)
Ga (0.132, 0.500, 0.632)
Ga (0.617, 0.617, 0.587)
Ga (0.750, 0.250, 0.500)
Ga (0.970, 0.383, 0.000)
Ga (0.124, 0.876, 0.000)
Ga (0.876, 0.876, 0.751)
Ga (0.030, 0.617, 0.000)
Ga (0.500, 0.868, 0.368)
Ga (0.876, 0.124, 0.000)
Ga (0.383, 0.383, 0.413)
Ga (0.250, 0.750, 0.500)
Ga (0.030, 0.030, 0.413)

The energy of formation from the pure elements comes out at -0.64 eV/atom. As for the magnetic moment: 0.00 μB/cell. The space group is I4/mmm (139). The calculation puts the volume at 19.730 Å³/atom.

Q: What is the volume in the third record?
A: 19.730 Å³/atom

Q: What is the magnetic moment in the third record?
A: 0.00 μB/cell

Q: Number 1 is which compound?
A: Sr3GaSb3